Entry 1:
Material: Li7MnB3O9
Method: DFT, PBE+U
State: optimized geometry

Energy with MP2020 corrections ... -6.89 eV per atom
Space-group type ... P-1 (2)
Energy relative to the elements ... -2.540 eV/atom

abc: 8.464 9.281 11.409
angles: 71.61 79.12 71.51
Element x y z (fractional)
Li1 0.005 0.081 0.380
Li2 0.082 0.836 0.243
Li3 0.152 0.990 0.959
Li4 0.175 0.346 0.694
Li5 0.287 0.892 0.650
Li6 0.297 0.955 0.407
Li7 0.300 0.240 0.899
Li8 0.331 0.705 0.874
Li9 0.332 0.422 0.042
Li10 0.345 0.266 0.273
Li11 0.390 0.836 0.192
Li12 0.444 0.155 0.486
Li13 0.463 0.889 0.966
Li14 0.490 0.347 0.615
Li15 0.510 0.653 0.385
Li16 0.537 0.111 0.034
Li17 0.556 0.845 0.514
Li18 0.610 0.164 0.808
Li19 0.655 0.734 0.727
Li20 0.668 0.578 0.958
Li21 0.669 0.295 0.126
Li22 0.700 0.760 0.101
Li23 0.703 0.045 0.593
Li24 0.713 0.108 0.350
Li25 0.825 0.654 0.306
Li26 0.848 0.010 0.041
Li27 0.918 0.164 0.757
Li28 0.995 0.919 0.620
Mn1 0.039 0.606 0.844
Mn2 0.203 0.529 0.419
Mn3 0.797 0.471 0.581
Mn4 0.961 0.394 0.156
B1 0.047 0.697 0.069
B2 0.122 0.218 0.520
B3 0.233 0.101 0.154
B4 0.279 0.661 0.601
B5 0.407 0.025 0.737
B6 0.444 0.575 0.174
B7 0.556 0.425 0.826
B8 0.593 0.975 0.263
B9 0.721 0.339 0.399
B10 0.767 0.899 0.846
B11 0.878 0.782 0.480
B12 0.953 0.303 0.931
O1 0.023 0.292 0.609
O2 0.053 0.838 0.079
O3 0.075 0.374 0.856
O4 0.129 0.066 0.524
O5 0.156 0.622 0.984
O6 0.173 0.726 0.693
O7 0.182 0.994 0.259
O8 0.210 0.257 0.152
O9 0.227 0.297 0.432
O10 0.277 0.517 0.589
O11 0.321 0.047 0.053
O12 0.326 0.927 0.829
O13 0.356 0.631 0.277
O14 0.383 0.747 0.522
O15 0.401 0.174 0.741
O16 0.455 0.427 0.169
O17 0.482 0.319 0.918
O18 0.495 0.967 0.636
O19 0.505 0.033 0.364
O20 0.518 0.681 0.082
O21 0.545 0.573 0.831
O22 0.599 0.826 0.259
O23 0.617 0.253 0.478
O24 0.644 0.369 0.723
O25 0.674 0.073 0.171
O26 0.679 0.953 0.947
O27 0.723 0.483 0.411
O28 0.773 0.703 0.568
O29 0.790 0.743 0.848
O30 0.818 0.006 0.741
O31 0.827 0.274 0.307
O32 0.844 0.378 0.016
O33 0.871 0.934 0.476
O34 0.925 0.626 0.144
O35 0.947 0.162 0.921
O36 0.977 0.708 0.391

---

Entry 2:
Material: Li5Mn6B6O18
Method: DFT, PBE+U
State: optimized geometry

Energy with MP2020 corrections ... -8.01 eV per atom
Space-group type ... P1 (1)
Energy relative to the elements ... -2.473 eV/atom

abc: 8.811 8.873 10.473
angles: 98.85 98.50 107.89
Element x y z (fractional)
Li1 0.000 0.000 0.000
Li2 0.044 0.467 0.737
Li3 0.246 0.249 0.253
Li4 0.354 0.090 0.780
Li5 0.493 0.499 0.499
Li6 0.548 0.975 0.236
Li7 0.599 0.340 0.028
Li8 0.740 0.745 0.752
Li9 0.796 0.214 0.485
Li10 0.846 0.584 0.274
Mn1 0.109 0.487 0.457
Mn2 0.160 0.867 0.236
Mn3 0.239 0.339 0.956
Mn4 0.356 0.727 0.707
Mn5 0.409 0.122 0.483
Mn6 0.487 0.599 0.202
Mn7 0.612 0.970 0.952
Mn8 0.663 0.369 0.732
Mn9 0.758 0.829 0.461
Mn10 0.864 0.229 0.199
Mn11 0.931 0.626 0.973
Mn12 0.995 0.084 0.707
B1 0.047 0.106 0.410
B2 0.084 0.814 0.796
B3 0.138 0.533 0.180
B4 0.298 0.354 0.672
B5 0.343 0.067 0.052
B6 0.381 0.764 0.414
B7 0.559 0.602 0.928
B8 0.586 0.315 0.298
B9 0.630 0.013 0.669
B10 0.804 0.853 0.171
B11 0.830 0.548 0.546
B12 0.882 0.268 0.924
O1 0.013 0.485 0.246
O2 0.062 0.237 0.349
O3 0.135 0.944 0.736
O4 0.153 0.018 0.391
O5 0.155 0.666 0.120
O6 0.155 0.695 0.791
O7 0.179 0.325 0.747
O8 0.214 0.046 0.120
O9 0.250 0.450 0.171
O10 0.280 0.730 0.499
O11 0.314 0.475 0.600
O12 0.371 0.184 0.973
O13 0.383 0.887 0.342
O14 0.399 0.261 0.669
O15 0.445 0.980 0.066
O16 0.447 0.563 0.011
O17 0.463 0.300 0.369
O18 0.488 0.675 0.393
O19 0.518 0.981 0.751
O20 0.560 0.720 0.856
O21 0.615 0.431 0.219
O22 0.639 0.136 0.599
O23 0.665 0.515 0.921
O24 0.677 0.809 0.238
O25 0.680 0.213 0.306
O26 0.709 0.546 0.619
O27 0.736 0.925 0.658
O28 0.763 0.232 0.999
O29 0.819 0.977 0.105
O30 0.859 0.651 0.459
O31 0.896 0.391 0.854
O32 0.914 0.769 0.174
O33 0.918 0.443 0.558
O34 0.934 0.066 0.488
O35 0.956 0.803 0.865
O36 0.990 0.182 0.918

---

Entry 3:
Material: Li5Mn6B6O18
Method: DFT, PBE+U
State: optimized geometry

Energy with MP2020 corrections ... -8.00 eV per atom
Space-group type ... P1 (1)
Energy relative to the elements ... -2.471 eV/atom

abc: 6.353 8.235 8.797
angles: 63.05 68.95 89.79
Element x y z (fractional)
Li1 0.000 0.000 0.000
Li2 0.126 0.580 0.744
Li3 0.331 0.270 0.320
Li4 0.489 0.001 0.001
Li5 0.841 0.271 0.319
Mn1 0.047 0.893 0.396
Mn2 0.241 0.649 0.017
Mn3 0.421 0.308 0.650
Mn4 0.559 0.915 0.379
Mn5 0.735 0.643 0.017
Mn6 0.908 0.308 0.662
B1 0.147 0.961 0.681
B2 0.226 0.273 0.029
B3 0.312 0.620 0.352
B4 0.666 0.964 0.679
B5 0.735 0.276 0.029
B6 0.827 0.619 0.348
O1 0.059 0.847 0.871
O2 0.136 0.185 0.224
O3 0.191 0.152 0.600
O4 0.198 0.873 0.569
O5 0.219 0.513 0.543
O6 0.264 0.462 0.923
O7 0.273 0.164 0.940
O8 0.337 0.816 0.275
O9 0.380 0.546 0.234
O10 0.563 0.848 0.869
O11 0.632 0.202 0.223
O12 0.696 0.155 0.603
O13 0.723 0.511 0.536
O14 0.737 0.892 0.555
O15 0.767 0.155 0.954
O16 0.808 0.464 0.913
O17 0.879 0.816 0.273
O18 0.884 0.548 0.226

---

Entry 4:
Material: Li2Mn3B3O9
Method: DFT, PBE+U
State: optimized geometry

Energy with MP2020 corrections ... -8.07 eV per atom
Space-group type ... P1 (1)
Energy relative to the elements ... -2.428 eV/atom

abc: 6.338 8.194 8.832
angles: 117.14 110.54 90.82
Element x y z (fractional)
Li1 0.000 0.000 0.000
Li2 0.147 0.681 0.266
Li3 0.656 0.683 0.265
Li4 0.809 0.259 0.578
Mn1 0.093 0.982 0.651
Mn2 0.236 0.647 0.922
Mn3 0.406 0.328 0.289
Mn4 0.581 0.982 0.645
Mn5 0.710 0.607 0.887
Mn6 0.913 0.351 0.297
B1 0.323 0.642 0.604
B2 0.404 0.972 0.281
B3 0.504 0.326 0.960
B4 0.815 0.647 0.615
B5 0.903 0.975 0.276
B6 0.985 0.321 0.952
O1 0.088 0.403 0.142
O2 0.251 0.451 0.489
O3 0.278 0.767 0.538
O4 0.320 0.042 0.161
O5 0.372 0.777 0.207
O6 0.428 0.141 0.831
O7 0.446 0.713 0.796
O8 0.483 0.462 0.904
O9 0.518 0.088 0.470
O10 0.598 0.392 0.150
O11 0.763 0.455 0.507
O12 0.788 0.765 0.541
O13 0.864 0.072 0.180
O14 0.867 0.779 0.181
O15 0.904 0.726 0.811
O16 0.931 0.128 0.842
O17 0.935 0.432 0.865
O18 0.975 0.072 0.466